DFT (PBE-GGA) results for crystalline CsMg6B at its relaxed geometry. Values from VASP.

```
&SYSTEM
  ibrav = 0, nat = 16, ntyp = 3
/
ATOMIC_SPECIES
B 10.81 B.upf
Mg 24.30 Mg.upf
Cs 132.91 Cs.upf
ATOMIC_POSITIONS angstrom
B 1.620 4.368 13.300
B 1.620 0.000 5.919
Mg 1.620 5.804 0.564
Mg 1.620 4.368 6.097
Mg 1.620 0.000 13.478
Mg 1.620 2.932 0.564
Mg 0.000 1.737 5.413
Mg 0.000 6.999 5.413
Mg 0.000 4.368 3.129
Mg 0.000 0.000 10.510
Mg 1.620 1.436 7.946
Mg 1.620 7.300 7.946
Mg 0.000 6.105 12.795
Mg 0.000 2.631 12.795
Cs 0.000 4.368 9.808
Cs 0.000 0.000 2.427
CELL_PARAMETERS angstrom
3.240 0.000 0.000
0.000 8.736 0.000
0.000 0.000 14.763
```

Computed properties:
electronic total energy	-1.773	eV per atom
formation energy	3.0	eV per formula unit
total moment	0.0	μB/cell
calculated volume	417.8	Å³/cell
offset from the most stable computed form	0.000	eV per atom